No. 1
DFT (PBE) results for a relaxed structure of AgI.

Properties
**Maximum piezoelectric response**: 0.2 C/m2

Geometry as CIF:
```
data_AgI
_chemical_formula_sum 'Ag4 I4'
_space_group_name_H-M_alt 'P 63 m c'
_space_group_IT_number 186
_space_group_name_Hall 'P 6c -2c'
_cell_length_a 4.8486
_cell_length_b 4.8486
_cell_length_c 14.4872
_cell_angle_alpha 90.00
_cell_angle_beta 90.00
_cell_angle_gamma 120.00
loop_
_atom_site_label
_atom_site_fract_x
_atom_site_fract_y
_atom_site_fract_z
Ag1 0.0000 0.0000 0.0000
Ag2 0.3333 0.6667 0.2019
I1 0.0000 0.0000 0.2378
I2 0.3333 0.6667 0.9865
```

No. 2
DFT (PBE) results for a relaxed structure of DyNbO4.

Geometry as CIF:
```
data_DyNbO4
_chemical_formula_sum 'Dy4 Nb4 O16'
_space_group_name_H-M_alt 'I 41/a'
_space_group_IT_number 88
_cell_length_a 5.2528
_cell_length_b 5.2528
_cell_length_c 11.1584
_cell_angle_alpha 90.00
_cell_angle_beta 90.00
_cell_angle_gamma 90.00
loop_
_space_group_symop_operation_xyz
'x,y,z'
'-x,-y,-z'
'-y+3/4,x+1/4,z+1/4'
'y+3/4,-x+1/4,-z+1/4'
'-x+1/2,-y,z+1/2'
'x+1/2,y,-z+1/2'
'y+3/4,-x+3/4,z+3/4'
'-y+3/4,x+3/4,-z+3/4'
'x+1/2,y+1/2,z+1/2'
'-x+1/2,-y+1/2,-z+1/2'
'-y+1/4,x+3/4,z+3/4'
'y+1/4,-x+3/4,-z+3/4'
'-x,-y+1/2,z'
'x,y+1/2,-z'
'y+1/4,-x+1/4,z+1/4'
'-y+1/4,x+1/4,-z+1/4'
loop_
_atom_site_label
_atom_site_fract_x
_atom_site_fract_y
_atom_site_fract_z
Dy1 0.0000 0.2500 0.1250
Nb1 0.0000 0.2500 0.6250
O1 0.1760 0.0037 0.2860
```

No. 3
DFT (PBE) results for a relaxed structure of NaNi3.

Geometry as CIF:
```
data_NaNi3
_chemical_formula_sum 'Na2 Ni6'
_space_group_name_H-M_alt 'I 4/m m m'
_space_group_IT_number 139
_space_group_name_Hall '-I 4 2'
_cell_length_a 3.7343
_cell_length_b 3.7343
_cell_length_c 7.3128
_cell_angle_alpha 90.00
_cell_angle_beta 90.00
_cell_angle_gamma 90.00
loop_
_atom_site_label
_atom_site_fract_x
_atom_site_fract_y
_atom_site_fract_z
Na1 0.0000 0.0000 0.0000
Ni1 0.0000 0.0000 0.5000
Ni2 0.0000 0.5000 0.2500
```

No. 4
DFT (PBE) results for a relaxed structure of NaHf2Ga2P3S3O24.

Geometry as CIF:
```
data_NaHf2Ga2P3S3O24
_chemical_formula_sum 'Na3 Hf6 Ga6 P9 S9 O72'
_space_group_name_H-M_alt 'P 1'
_space_group_IT_number 1
_cell_length_a 8.6789
_cell_length_b 8.6832
_cell_length_c 22.5633
_cell_angle_alpha 89.61
_cell_angle_beta 89.38
_cell_angle_gamma 60.15
loop_
_space_group_symop_operation_xyz
'x,y,z'
loop_
_atom_site_label
_atom_site_fract_x
_atom_site_fract_y
_atom_site_fract_z
Na1 0.0000 0.0000 0.0000
Na2 0.0262 0.9935 0.5052
Na3 0.3535 0.3352 0.8442
Hf1 0.3457 0.3211 0.1912
Hf2 0.3512 0.3215 0.6938
Hf3 0.6712 0.6594 0.5255
Hf4 0.6814 0.6506 0.3185
Hf5 0.6821 0.6564 0.8152
Hf6 0.6929 0.6501 0.0256
Ga1 0.0029 0.9998 0.1461
Ga2 0.0226 0.9900 0.3606
Ga3 0.0287 0.9813 0.6542
Ga4 0.3309 0.3266 0.4814
Ga5 0.3517 0.3204 0.9846
Ga6 0.9992 0.9832 0.8578
P1 0.0685 0.3098 0.0856
P2 0.2916 0.7128 0.7556
P3 0.3303 0.0465 0.5854
P4 0.3795 0.6528 0.4219
P5 0.6392 0.0411 0.0849
P6 0.6821 0.3562 0.9207
P7 0.7381 0.9909 0.7528
P8 0.9770 0.3580 0.4211
P9 0.9855 0.6516 0.9205
S1 0.0126 0.7177 0.2542
S2 0.0137 0.2690 0.7546
S3 0.0605 0.6209 0.5853
S4 0.2932 0.9877 0.2535
S5 0.3360 0.6219 0.0867
S6 0.3819 0.9543 0.9207
S7 0.6432 0.3101 0.5847
S8 0.6813 0.9553 0.4201
S9 0.7362 0.2681 0.2548
O1 0.0029 0.8194 0.9168
O2 0.0363 0.8010 0.5911
O3 0.0418 0.7954 0.3075
O4 0.0450 0.1615 0.8076
O5 0.0524 0.1420 0.0937
O6 0.1412 0.5137 0.6391
O7 0.1499 0.3415 0.1423
O8 0.1580 0.3424 0.4268
O9 0.1652 0.0244 0.5927
O10 0.1672 0.4827 0.9278
O11 0.1710 0.5382 0.2467
O12 0.1722 0.2950 0.7487
O13 0.1732 0.5403 0.5324
O14 0.1763 0.7955 0.8103
O15 0.1778 0.7988 0.0953
O16 0.1850 0.0205 0.3076
O17 0.1846 0.2831 0.0313
O18 0.1941 0.8185 0.4143
O19 0.2052 0.9730 0.9150
O20 0.2159 0.9578 0.2006
O21 0.2231 0.8159 0.6974
O22 0.3039 0.1606 0.5298
O23 0.3051 0.5421 0.0345
O24 0.3104 0.5247 0.7485
O25 0.3140 0.1475 0.2470
O26 0.3581 0.1322 0.6408
O27 0.3644 0.5122 0.1413
O28 0.3699 0.1298 0.9249
O29 0.3722 0.4844 0.4323
O30 0.4680 0.8441 0.9739
O31 0.4686 0.6922 0.4747
O32 0.4731 0.8311 0.2618
O33 0.4790 0.6865 0.7646
O34 0.4943 0.8672 0.8674
O35 0.4948 0.6402 0.0803
O36 0.4975 0.6299 0.3660
O37 0.4984 0.8617 0.5766
O38 0.5150 0.3375 0.9273
O39 0.5237 0.1287 0.4276
O40 0.5289 0.1284 0.1425
O41 0.5329 0.3417 0.6390
O42 0.5458 0.1550 0.7463
O43 0.5554 0.1623 0.0316
O44 0.5556 0.2926 0.2477
O45 0.5584 0.2867 0.5324
O46 0.6497 0.8606 0.0776
O47 0.6556 0.4739 0.8656
O48 0.6563 0.8676 0.3670
O49 0.6593 0.4734 0.5792
O50 0.7025 0.4511 0.9757
O51 0.7136 0.8381 0.4724
O52 0.7169 0.4480 0.2618
O53 0.7184 0.8257 0.7617
O54 0.8076 0.0340 0.8081
O55 0.8133 0.1596 0.3079
O56 0.8207 0.1547 0.5917
O57 0.8277 0.0150 0.0926
O58 0.8426 0.9698 0.4126
O59 0.8441 0.1941 0.2008
O60 0.8435 0.9688 0.6955
O61 0.8531 0.1744 0.9147
O62 0.8531 0.6973 0.2622
O63 0.8540 0.4512 0.4749
O64 0.8563 0.4483 0.7606
O65 0.8654 0.6796 0.9757
O66 0.8819 0.4741 0.0796
O67 0.8843 0.6341 0.5778
O68 0.8849 0.4765 0.3655
O69 0.8924 0.6305 0.8657
O70 0.9842 0.8244 0.2003
O71 0.9886 0.1754 0.4141
O72 0.9890 0.1959 0.6995
```

| no. | formation energy (eV/atom) |
| --- | --- |
| 1 | -0.4232 |
| 2 | -3.5694 |
| 3 | 0.5175 |
| 4 | -2.5997 |